[1]
First-principles (PBE-GGA) data for an optimized crystal structure of Na3LaInP3O12, as listed in the Materials Project database.

Unit cell a=9.3651 b=9.3291 c=23.6146 alpha=89.74 beta=90.22 gamma=119.81
Last column: nearest neighbours and their distance in Å.
Sites, in units of the cell vectors:
Na1 0.0014 0.0006 0.5032  6 O 2.59-2.84
Na2 0.9984 0.9981 0.0020  6 O 2.64-2.79
Na3 0.6408 0.3207 0.8319  6 O 2.59-2.81
Na4 0.6802 0.3599 0.3350  5 O 2.56-2.83
Na5 0.3307 0.6663 0.1713  6 O 2.53-2.68
Na6 0.3337 0.6672 0.6670  6 O 2.49-2.74
Na7 0.6366 0.0027 0.2482  4 O 2.45-2.64
Na8 0.3622 0.3618 0.2488  4 O 2.39-2.65
Na9 0.6395 0.6329 0.7452  5 O 2.45-2.63
Na10 0.9915 0.3598 0.7442  3 O 2.41-2.59
Na11 0.0335 0.7017 0.5851  4 O 2.43-2.59
Na12 0.6680 0.9706 0.5855  3 O 2.42-2.63
Na13 0.2981 0.9691 0.0886  5 O 2.47-2.69
Na14 0.0252 0.3274 0.0890  3 O 2.40-2.62
Na15 0.9709 0.6654 0.9182  4 O 2.41-2.59
Na16 0.6965 0.0299 0.9170  4 O 2.40-2.62
Na17 0.9692 0.3047 0.4168  2 O 2.37-2.44
Na18 0.3380 0.0352 0.4186  5 O 2.44-2.71
La1 0.9885 0.9835 0.3455  6 O 2.27-2.42
La2 0.0178 0.0127 0.8439  6 O 2.27-2.42
La3 0.6580 0.3414 0.9903  6 O 2.30-2.45
La4 0.3458 0.6604 0.0198  6 O 2.28-2.47
La5 0.3391 0.6542 0.5187  6 O 2.25-2.44
La6 0.3323 0.6711 0.8140  6 O 2.26-2.44
In1 0.0117 0.0077 0.6483  6 O 2.10-2.24
In2 0.9920 0.9882 0.1567  6 O 2.13-2.22
In3 0.6569 0.3270 0.6796  6 O 2.08-2.22
In4 0.6730 0.3430 0.1827  6 O 2.11-2.23
In5 0.6618 0.3400 0.4850  6 O 2.15-2.28
In6 0.3296 0.6662 0.3180  6 O 2.16-2.27
P1 0.3113 0.0013 0.2480  4 O 1.55-1.57
P2 0.6850 0.6899 0.2475  4 O 1.53-1.57
P3 0.0012 0.3072 0.2480  4 O 1.55-1.57
P4 0.3098 0.3039 0.7426  4 O 1.53-1.56
P5 0.9875 0.6885 0.7429  4 O 1.55-1.56
P6 0.7061 0.0080 0.7428  4 O 1.55-1.56
P7 0.9483 0.3235 0.5850  4 O 1.55-1.56
P8 0.3682 0.0435 0.5820  4 O 1.53-1.57
P9 0.6832 0.6367 0.5877  4 O 1.54-1.58
P10 0.9696 0.6435 0.0868  4 O 1.54-1.56
P11 0.6770 0.0391 0.0899  4 O 1.55-1.56
P12 0.3494 0.3161 0.0941  4 O 1.54-1.56
P13 0.6479 0.6719 0.9116  4 O 1.54-1.55
P14 0.0207 0.3585 0.9177  4 O 1.55-1.56
P15 0.3345 0.9703 0.9209  4 O 1.55
P16 0.6297 0.9774 0.4168  4 O 1.54-1.57
P17 0.3413 0.3662 0.4118  4 O 1.53-1.56
P18 0.0321 0.6547 0.4193  4 O 1.54-1.56
O1 0.2359 0.0323 0.3015  1 P 1.55
O2 0.7849 0.7571 0.3020  1 P 1.53
O3 0.9678 0.2003 0.3020  1 P 1.55
O4 0.2427 0.2150 0.7993  1 P 1.53
O5 0.9713 0.7662 0.7987  1 P 1.55
O6 0.8023 0.0317 0.7990  1 P 1.55
O7 0.8005 0.9886 0.6921  1 P 1.56
O8 0.1915 0.2107 0.6936  1 P 1.54
O9 0.0070 0.7992 0.6913  1 P 1.55
O10 0.7719 0.8098 0.1974  1 P 1.55
O11 0.0306 0.2198 0.1966  1 P 1.57
O12 0.2015 0.9760 0.1953  1 P 1.55
O13 0.8664 0.3449 0.6386  1 P 1.55
O14 0.4787 0.1291 0.6331  1 P 1.53
O15 0.6626 0.5387 0.6424  1 P 1.54
O16 0.8711 0.5205 0.1342  1 P 1.54
O17 0.6553 0.1325 0.1404  1 P 1.55
O18 0.4585 0.3370 0.1458  1 P 1.54
O19 0.4266 0.2943 0.0395  1 P 1.54
O20 0.8846 0.5798 0.0286  1 P 1.55
O21 0.7015 0.1360 0.0336  1 P 1.56
O22 0.4437 0.1386 0.5258  1 P 1.56
O23 0.7001 0.5483 0.5349  1 P 1.55
O24 0.8442 0.3008 0.5305  1 P 1.56
O25 0.5538 0.6841 0.9633  1 P 1.55
O26 0.1202 0.4471 0.9715  1 P 1.55
O27 0.3236 0.8753 0.9762  1 P 1.55
O28 0.5521 0.8776 0.4712  1 P 1.54
O29 0.3102 0.4464 0.4633  1 P 1.53
O30 0.1292 0.6786 0.4746  1 P 1.54
O31 0.1205 0.6274 0.3680  1 P 1.56
O32 0.5234 0.8879 0.3633  1 P 1.57
O33 0.3595 0.4667 0.3568  1 P 1.56
O34 0.1096 0.4575 0.8635  1 P 1.55
O35 0.3479 0.8764 0.8692  1 P 1.55
O36 0.5548 0.6610 0.8562  1 P 1.54
O37 0.0216 0.8140 0.4126  1 P 1.55
O38 0.8097 0.0122 0.4127  1 P 1.55
O39 0.1874 0.1896 0.4090  1 P 1.56
O40 0.9914 0.1798 0.9170  1 P 1.55
O41 0.1729 0.9766 0.9175  1 P 1.55
O42 0.8191 0.8313 0.9133  1 P 1.55
O43 0.9606 0.1625 0.5881  1 P 1.56
O44 0.1900 0.0164 0.5866  1 P 1.56
O45 0.8453 0.8102 0.5881  1 P 1.58
O46 0.9948 0.8196 0.0943  1 P 1.55
O47 0.8364 0.0281 0.0960  1 P 1.55
O48 0.1775 0.1564 0.0968  1 P 1.56
O49 0.6926 0.1669 0.7384  1 P 1.55
O50 0.4863 0.3307 0.7383  1 P 1.55
O51 0.8273 0.5161 0.7404  1 P 1.56
O52 0.6551 0.5118 0.2400  1 P 1.55
O53 0.8441 0.3220 0.2405  1 P 1.55
O54 0.4867 0.1573 0.2419  1 P 1.57
O55 0.6740 0.5210 0.9149  1 P 1.54
O56 0.8495 0.3484 0.9184  1 P 1.56
O57 0.4933 0.1407 0.9197  1 P 1.55
O58 0.6362 0.1491 0.4197  1 P 1.57
O59 0.4968 0.3477 0.4190  1 P 1.56
O60 0.8602 0.4940 0.4223  1 P 1.56
O61 0.3206 0.4660 0.0912  1 P 1.55
O62 0.1429 0.6572 0.0870  1 P 1.56
O63 0.5167 0.8693 0.0882  1 P 1.55
O64 0.3514 0.8679 0.5812  1 P 1.57
O65 0.5376 0.6717 0.5854  1 P 1.55
O66 0.1190 0.4825 0.5828  1 P 1.55
O67 0.3361 0.8477 0.2543  1 P 1.57
O68 0.5127 0.6796 0.2527  1 P 1.57
O69 0.1636 0.4766 0.2538  1 P 1.56
O70 0.3234 0.4776 0.7435  1 P 1.56
O71 0.1357 0.6570 0.7437  1 P 1.56
O72 0.5368 0.8472 0.7440  1 P 1.55

- E_form: -2783 meV per atom
- ΔE to the lowest computed polymorph: 0.064 eV per formula unit
- Symmetry: P1, No. 1
- DFT total energy: -6.7340 eV/atom


[2]
First-principles (PBE-GGA) data for an optimized crystal structure of Na3LaInP3O12, as listed in the Materials Project database.

Unit cell a=16.3303 b=9.3471 c=9.3920 alpha=90.18 beta=125.24 gamma=89.73
Last column: nearest neighbours and their distance in Å.
Sites, in units of the cell vectors:
Na1 0.2413 0.7714 0.9962  5 O 2.38-2.50
Na2 0.7515 0.7300 0.5130  4 O 2.39-2.63
Na3 0.7507 0.2666 0.0139  4 O 2.37-2.59
Na4 0.2412 0.2301 0.4983  6 O 2.46-2.69
Na5 0.5050 0.0951 0.7601  2 O 2.34-2.62
Na6 0.4995 0.9176 0.2306  4 O 2.37-2.65
Na7 0.0061 0.5924 0.7528  4 O 2.50-2.65
Na8 0.9989 0.3949 0.2354  5 O 2.41-2.67
Na9 0.8168 0.9284 0.2007  2 O 2.38-2.54
Na10 0.8152 0.0774 0.7049  5 O 2.45-2.71
Na11 0.3036 0.4261 0.1821  4 O 2.35-2.59
Na12 0.3125 0.5643 0.7133  5 O 2.49-2.73
La1 0.1054 0.7648 0.5515  6 O 2.26-2.46
La2 0.6013 0.2657 0.5523  6 O 2.26-2.44
La3 0.3981 0.7488 0.4444  6 O 2.32-2.44
La4 0.6061 0.7347 0.0533  6 O 2.26-2.44
In1 0.9008 0.7504 0.9473  6 O 2.17-2.25
In2 0.9021 0.2483 0.4487  6 O 2.14-2.26
In3 0.1014 0.2423 0.0488  6 O 2.09-2.23
In4 0.3994 0.2517 0.9465  6 O 2.11-2.27
P1 0.9946 0.9515 0.7514  4 O 1.54-1.57
P2 0.9925 0.0614 0.2346  4 O 1.54-1.57
P3 0.4880 0.4281 0.7458  4 O 1.53-1.56
P4 0.4862 0.5596 0.2273  4 O 1.54-1.56
P5 0.3571 0.9106 0.7760  4 O 1.54-1.56
P6 0.6644 0.8993 0.7545  4 O 1.55-1.56
P7 0.6585 0.1065 0.2492  4 O 1.56
P8 0.3484 0.1034 0.2472  4 O 1.55-1.56
P9 0.8625 0.4054 0.7600  4 O 1.55-1.56
P10 0.1513 0.3917 0.7501  4 O 1.55-1.57
P11 0.1496 0.5904 0.2377  4 O 1.55-1.57
P12 0.8604 0.5914 0.2611  4 O 1.54-1.56
O1 0.1587 0.5591 0.7499  1 P 1.57
O2 0.8537 0.5723 0.7537  1 P 1.56
O3 0.8510 0.4251 0.2506  1 P 1.56
O4 0.1540 0.4226 0.2384  1 P 1.57
O5 0.6746 0.0654 0.7563  1 P 1.56
O6 0.3438 0.0755 0.7561  1 P 1.55
O7 0.3381 0.9383 0.2274  1 P 1.55
O8 0.6672 0.9397 0.2503  1 P 1.56
O9 0.4329 0.5191 0.5768  1 P 1.55
O10 0.5411 0.5275 0.9045  1 P 1.53
O11 0.5336 0.4668 0.3927  1 P 1.54
O12 0.4351 0.4635 0.0627  1 P 1.55
O13 0.9318 0.0414 0.5800  1 P 1.56
O14 0.0520 0.0484 0.9133  1 P 1.54
O15 0.0570 0.9724 0.4017  1 P 1.54
O16 0.9269 0.9614 0.0742  1 P 1.56
O17 0.2733 0.8328 0.7750  1 P 1.55
O18 0.7480 0.8280 0.7478  1 P 1.55
O19 0.7464 0.1705 0.2489  1 P 1.56
O20 0.2592 0.1761 0.2374  1 P 1.56
O21 0.7740 0.3346 0.7524  1 P 1.56
O22 0.2414 0.3309 0.7545  1 P 1.55
O23 0.2341 0.6484 0.2248  1 P 1.55
O24 0.7742 0.6651 0.2584  1 P 1.55
O25 0.3585 0.8561 0.6206  1 P 1.56
O26 0.6728 0.8602 0.9229  1 P 1.55
O27 0.6664 0.1453 0.4178  1 P 1.56
O28 0.3586 0.1615 0.1032  1 P 1.55
O29 0.8633 0.3600 0.6016  1 P 1.55
O30 0.1555 0.3568 0.9169  1 P 1.56
O31 0.1680 0.6312 0.4149  1 P 1.56
O32 0.8613 0.6415 0.1040  1 P 1.56
O33 0.4587 0.8735 0.9474  1 P 1.54
O34 0.5606 0.8521 0.5919  1 P 1.55
O35 0.5559 0.1579 0.0846  1 P 1.56
O36 0.4460 0.1399 0.4283  1 P 1.56
O37 0.9609 0.3574 0.9323  1 P 1.55
O38 0.0522 0.3377 0.5829  1 P 1.55
O39 0.0475 0.6489 0.0817  1 P 1.55
O40 0.9589 0.6349 0.4342  1 P 1.54
O41 0.0685 0.8454 0.7525  1 P 1.55
O42 0.9155 0.8587 0.7542  1 P 1.57
O43 0.9156 0.1536 0.2456  1 P 1.57
O44 0.0633 0.1653 0.2246  1 P 1.56
O45 0.5663 0.3215 0.7619  1 P 1.55
O46 0.4040 0.3413 0.7382  1 P 1.56
O47 0.4010 0.6524 0.2089  1 P 1.56
O48 0.5681 0.6619 0.2519  1 P 1.55

- E_form: -2786 meV per atom
- ΔE to the lowest computed polymorph: 0.000 eV per formula unit
- Symmetry: P1, No. 1
- DFT total energy: -6.7372 eV/atom